The following is a PBE+U calculation of a relaxed structure of Li3Ni2P5O16, from the Materials Project.

a b c (Å): 5.0065 6.8674 18.1403
angles (deg): 90.00 92.16 90.00
Last column: nearest neighbours and their distance in Å.
Space group P2/c (No. 13)
One atom of each set of equivalent atoms:
Li  0.0000  0.0156  0.2500 (multiplicity 2)  2 O 1.99
Li  0.2390  0.3270  0.9664 (multiplicity 4)  4 O 2.02-2.21
Ni  0.2336  0.1768  0.4098 (multiplicity 4)  6 O 2.04-2.25
P  0.2377  0.4676  0.1245 (multiplicity 4)  4 O 1.51-1.60
P  0.2737  0.1237  0.5848 (multiplicity 4)  4 O 1.53-1.66
P  0.5000  0.2431  0.2500 (multiplicity 2)  4 O 1.50-1.59
O  0.0599  0.4488  0.3923 (multiplicity 4)  1 P 1.51
O  0.1155  0.0255  0.1279 (multiplicity 4)  1 P 1.53
O  0.1211  0.2065  0.5167 (multiplicity 4)  1 P 1.54
O  0.3020  0.3102  0.6427 (multiplicity 4)  2 P 1.59-1.66
O  0.3035  0.3869  0.2059 (multiplicity 4)  2 P 1.59-1.60
O  0.3233  0.1298  0.2998 (multiplicity 4)  1 P 1.50
O  0.4199  0.3791  0.0686 (multiplicity 4)  1 P 1.52
O  0.4340  0.0782  0.9293 (multiplicity 4)  1 P 1.53

The value obtained for the total energy is -6.6242 eV/atom.

The following is a PBE+U calculation of a relaxed structure of Mn4O7F, from the Materials Project.

a b c (Å): 4.9612 5.4850 10.1970
angles (deg): 90.00 118.94 90.00
Last column: nearest neighbours and their distance in Å.
Space group Pc (No. 7)
One atom of each set of equivalent atoms:
Mn  0.0000  0.1321  0.0000 (multiplicity 2)  5 O 1.88-1.95, 1 F 2.03
Mn  0.2097  0.3562  0.7373 (multiplicity 2)  5 O 1.89-1.98, 1 F 2.06
Mn  0.4803  0.1509  0.4873 (multiplicity 2)  6 O 1.92-1.97
Mn  0.7310  0.3342  0.2367 (multiplicity 2)  5 O 1.92-1.97, 1 F 2.13
O  0.1695  0.3878  0.3563 (multiplicity 2)  3 Mn 1.93-1.96
O  0.1950  0.1130  0.8761 (multiplicity 2)  3 Mn 1.93-1.97
O  0.2746  0.1188  0.6099 (multiplicity 2)  3 Mn 1.88-1.97
O  0.2896  0.3804  0.1277 (multiplicity 2)  3 Mn 1.93-1.98
O  0.7011  0.1122  0.3772 (multiplicity 2)  3 Mn 1.92-1.94
O  0.7725  0.1012  0.1065 (multiplicity 2)  3 Mn 1.92-1.95
O  0.7767  0.3925  0.6233 (multiplicity 2)  3 Mn 1.89-1.97
F  0.6824  0.3787  0.8643 (multiplicity 2)  3 Mn 2.03-2.13

The value obtained for the total energy is -6.9909 eV/atom. Its polymorph energy (0 for the lowest one) is 0.05 eV per formula unit.

The following is a PBE+U calculation of a relaxed structure of Ti11Fe13O36, from the Materials Project.

a b c (Å): 5.1793 5.5519 25.7607
angles (deg): 93.32 90.08 117.75
Last column: nearest neighbours and their distance in Å.
Space group P1 (No. 1)
One atom of each set of equivalent atoms:
Ti  0.0000  0.0000  0.0000 (multiplicity 1)  3 O 1.88-1.90
Ti  0.0002  0.0032  0.5012 (multiplicity 1)  4 O 1.85-2.05
Ti  0.2784  0.5474  0.4648 (multiplicity 1)  6 O 1.91-2.13
Ti  0.2827  0.5570  0.7155 (multiplicity 1)  3 O 1.88-1.89
Ti  0.3348  0.6669  0.8335 (multiplicity 1)  3 O 1.88-1.90
Ti  0.3402  0.6917  0.3330 (multiplicity 1)  6 O 1.95-2.03
Ti  0.6081  0.2184  0.0480 (multiplicity 1)  4 O 1.88-2.08
Ti  0.6082  0.2284  0.2975 (multiplicity 1)  4 O 1.89-2.07
Ti  0.6712  0.3360  0.6663 (multiplicity 1)  4 O 1.88-2.10
Ti  0.6799  0.3487  0.1641 (multiplicity 1)  6 O 1.89-2.07
Ti  0.9470  0.8912  0.8819 (multiplicity 1)  3 O 1.88-1.89
Fe  0.0013  0.9977  0.7505 (multiplicity 1)  6 O 2.09-2.22
Fe  0.2711  0.5513  0.2149 (multiplicity 1)  4 O 1.94-2.07
Fe  0.2800  0.5600  0.9649 (multiplicity 1)  6 O 2.10-2.23
Fe  0.3293  0.6606  0.5838 (multiplicity 1)  5 O 2.05-2.24
Fe  0.3375  0.6636  0.0852 (multiplicity 1)  6 O 2.08-2.26
Fe  0.6138  0.2269  0.7979 (multiplicity 1)  6 O 2.10-2.23
Fe  0.6173  0.2255  0.5500 (multiplicity 1)  5 O 1.95-2.12
Fe  0.6634  0.3249  0.4170 (multiplicity 1)  6 O 2.07-2.31
Fe  0.6654  0.3302  0.9166 (multiplicity 1)  6 O 2.10-2.22
Fe  0.9468  0.8858  0.3821 (multiplicity 1)  6 O 2.05-2.27
Fe  0.9492  0.8952  0.6332 (multiplicity 1)  6 O 2.08-2.23
Fe  0.9505  0.8984  0.1316 (multiplicity 1)  6 O 2.09-2.27
Fe  0.9933  0.9920  0.2494 (multiplicity 1)  5 O 2.07-2.31
O  0.0173  0.7058  0.1974 (multiplicity 1)  3 Fe 1.94-2.17, 1 Ti 2.07
O  0.0259  0.3909  0.2892 (multiplicity 1)  2 Ti 1.94-1.99
O  0.0256  0.6991  0.7003 (multiplicity 1)  1 Ti 1.89, 1 Fe 2.09
O  0.0665  0.3951  0.7857 (multiplicity 1)  1 Ti 1.88
O  0.1150  0.6139  0.8944 (multiplicity 1)  1 Ti 1.90, 1 Fe 2.10
O  0.1395  0.6081  0.4005 (multiplicity 1)  2 Ti 1.91-1.99
O  0.1661  0.9433  0.8216 (multiplicity 1)  1 Ti 1.88
O  0.1900  0.9507  0.3157 (multiplicity 1)  2 Ti 2.00-2.07, 2 Fe 2.07
O  0.2154  0.1610  0.9301 (multiplicity 1)  1 Ti 1.89, 1 Fe 2.11
O  0.2287  0.1892  0.4340 (multiplicity 1)  2 Ti 2.00-2.13, 2 Fe 2.05-2.07
O  0.2518  0.8378  0.5096 (multiplicity 1)  2 Ti 1.93-1.99
O  0.2584  0.8597  0.0168 (multiplicity 1)  2 Ti 1.90-2.08, 1 Fe 2.12
O  0.3401  0.3621  0.5304 (multiplicity 1)  2 Fe 1.99-2.11, 2 Ti 2.05-2.13
O  0.3585  0.3671  0.0321 (multiplicity 1)  1 Ti 1.88
O  0.3995  0.0674  0.6177 (multiplicity 1)  1 Ti 1.90, 2 Fe 2.08-2.12
O  0.4049  0.0641  0.1190 (multiplicity 1)  1 Ti 1.89
O  0.4498  0.2811  0.7273 (multiplicity 1)  2 Ti 1.90-2.12, 1 Fe 2.10
O  0.4731  0.2891  0.2339 (multiplicity 1)  2 Ti 1.89-2.06
O  0.5026  0.5992  0.1536 (multiplicity 1)  2 Fe 1.94-2.08, 1 Ti 2.02
O  0.5027  0.6124  0.6551 (multiplicity 1)  1 Ti 1.89
O  0.5482  0.8267  0.7638 (multiplicity 1)  1 Ti 1.88
O  0.5501  0.8361  0.2671 (multiplicity 1)  2 Fe 2.00-2.10, 2 Ti 2.01-2.15
O  0.5882  0.5028  0.3435 (multiplicity 1)  2 Ti 1.92-2.03
O  0.5908  0.5267  0.8498 (multiplicity 1)  1 Ti 1.88
O  0.6578  0.0335  0.3625 (multiplicity 1)  2 Ti 1.95-2.12, 2 Fe 2.07-2.09
O  0.6904  0.7237  0.4548 (multiplicity 1)  2 Ti 1.91-1.97
O  0.6916  0.0341  0.8657 (multiplicity 1)  1 Ti 1.89, 1 Fe 2.10
O  0.7328  0.7296  0.9520 (multiplicity 1)  1 Ti 1.88
O  0.7805  0.9445  0.5601 (multiplicity 1)  1 Ti 1.85
O  0.7850  0.9453  0.0609 (multiplicity 1)  1 Ti 1.88, 1 Fe 2.09
O  0.8313  0.2748  0.9881 (multiplicity 1)  1 Ti 1.88
O  0.8555  0.2872  0.4856 (multiplicity 1)  2 Fe 2.02-2.09, 2 Ti 2.08-2.09
O  0.8836  0.4868  0.0968 (multiplicity 1)  2 Ti 1.91-2.03, 1 Fe 2.11
O  0.8956  0.5074  0.5990 (multiplicity 1)  3 Fe 1.95-2.17, 1 Ti 2.10
O  0.9230  0.1913  0.6832 (multiplicity 1)  1 Ti 1.88, 1 Fe 2.08
O  0.9244  0.1925  0.1842 (multiplicity 1)  1 Ti 1.92, 2 Fe 2.07-2.12

The value obtained for the total energy is -7.6954 eV/atom. Its polymorph energy (0 for the lowest one) is 16.75 eV per formula unit.

The following is a PBE+U calculation of a relaxed structure of LiFeF4, from the Materials Project.

a b c (Å): 4.5643 11.7008 4.8927
angles (deg): 90.00 90.00 90.00
Last column: nearest neighbours and their distance in Å.
Space group Pbcn (No. 60)
One atom of each set of equivalent atoms:
Li  0.0000  0.0579  0.2500 (multiplicity 4)  6 F 2.00-2.09
Fe  0.0000  0.3248  0.2500 (multiplicity 4)  6 F 1.89-2.05
F  0.2298  0.1938  0.0731 (multiplicity 8)  2 Fe 2.02-2.05, 1 Li 2.09
F  0.2483  0.4342  0.0840 (multiplicity 8)  1 Fe 1.89, 2 Li 2.00-2.02

The value obtained for the total energy is -5.1382 eV/atom. Its polymorph energy (0 for the lowest one) is 0.05 eV per formula unit.

The following is a PBE+U calculation of a relaxed structure of Mn3Fe3O8, from the Materials Project.

a b c (Å): 6.1026 6.2233 8.1790
angles (deg): 90.00 90.00 90.00
Last column: nearest neighbours and their distance in Å.
Space group Imm2 (No. 44)
One atom of each set of equivalent atoms:
Mn  0.0000  0.0000  0.0000 (multiplicity 2)  4 O 2.02-2.08
Mn  0.0000  0.2512  0.3706 (multiplicity 4)  6 O 1.95-2.10
Fe  0.0000  0.5000  0.7445 (multiplicity 2)  4 O 2.00-2.08
Fe  0.2496  0.0000  0.6194 (multiplicity 4)  6 O 1.94-2.04
O  0.0000  0.2183  0.6080 (multiplicity 4)  1 Mn 1.95, 3 Fe 2.04-2.08
O  0.0000  0.2842  0.1332 (multiplicity 4)  2 Mn 1.95-2.08, 2 Fe 2.04
O  0.2293  0.0000  0.3819 (multiplicity 4)  2 Fe 1.95-2.00, 2 Mn 2.10
O  0.2306  0.5000  0.3556 (multiplicity 4)  1 Fe 1.94, 3 Mn 2.02-2.10

The value obtained for the total energy is -7.1592 eV/atom.

The following is a PBE+U calculation of a relaxed structure of Mg6CrCuO8, from the Materials Project.

a b c (Å): 4.2629 4.2629 8.5859
angles (deg): 90.00 90.00 90.00
Last column: nearest neighbours and their distance in Å.
Space group P4/mmm (No. 123)
One atom of each set of equivalent atoms:
Mg  0.0000  0.0000  0.0000 (multiplicity 1)  6 O 2.13-2.20
Mg  0.0000  0.5000  0.2508 (multiplicity 4)  6 O 2.13-2.15
Mg  0.5000  0.5000  0.0000 (multiplicity 1)  6 O 2.05-2.13
Cr  0.0000  0.0000  0.5000 (multiplicity 1)  6 O 2.09-2.13
Cu  0.5000  0.5000  0.5000 (multiplicity 1)  6 O 2.13-2.24
O  0.0000  0.0000  0.2562 (multiplicity 2)  1 Cr 2.09, 5 Mg 2.13-2.20
O  0.0000  0.5000  0.0000 (multiplicity 2)  6 Mg 2.13-2.15
O  0.0000  0.5000  0.5000 (multiplicity 2)  2 Cr 2.13, 2 Cu 2.13, 2 Mg 2.14
O  0.5000  0.5000  0.2388 (multiplicity 2)  5 Mg 2.05-2.13, 1 Cu 2.24

The value obtained for the total energy is -6.0918 eV/atom. Its polymorph energy (0 for the lowest one) is 0.26 eV per formula unit.

The following is a PBE+U calculation of a relaxed structure of Na3MnO3, from the Materials Project.

a b c (Å): 6.0780 10.8830 6.0483
angles (deg): 90.00 91.74 90.00
Last column: nearest neighbours and their distance in Å.
Space group P2_1/c (No. 14)
One atom of each set of equivalent atoms:
Na  0.0061  0.2219  0.4831 (multiplicity 4)  4 O 2.28-2.47
Na  0.1463  0.5027  0.6424 (multiplicity 4)  5 O 2.31-2.58, 1 Na 2.44
Na  0.4543  0.2241  0.0921 (multiplicity 4)  5 O 2.38-2.63
Mn  0.3355  0.5028  0.1675 (multiplicity 4)  4 O 1.87-1.96
O  0.1947  0.1273  0.8085 (multiplicity 4)  1 Mn 1.87
O  0.2000  0.6316  0.3190 (multiplicity 4)  1 Mn 1.88
O  0.3887  0.0877  0.3938 (multiplicity 4)  2 Mn 1.96

The value obtained for the total energy is -5.2299 eV/atom. Its polymorph energy (0 for the lowest one) is 0.00 eV per formula unit.

no.,DFT formation energy (eV per atom)
1,-2.4917
2,-1.8863
3,-2.3450
4,-2.8160
5,-1.7869
6,-2.6266
7,-1.7664